Entry from the Materials Project database: an optimized crystal structure of CaLaCrCoO6 (GGA+U).

Results
Total magnetic moment (Bohr magnetons per cell): 16.0
Total energy (eV per cell): -141.82

Cell and atoms, written as extended XYZ:
```
20
Lattice="-2.273 -1.794 -4.702 4.947 -1.458 -1.836 4.000 -8.485 1.303" Properties=species:S:1:pos:R:3 pbc="T T T"
La 4.898 -8.853 -4.068
Co 5.907 -9.655 -0.791
O 5.374 -5.638 -0.682
O 0.923 -5.987 -4.377
O 3.362 -4.731 -4.783
O 6.568 -8.022 -1.638
Ca 3.619 -7.267 -0.874
O 5.007 -8.585 0.584
O 1.279 -2.839 -1.275
Cr 3.241 -2.805 -5.359
O 1.264 -3.059 -5.695
Co 2.768 -6.311 -3.797
O 4.603 -6.608 -3.192
O 2.775 -2.230 -3.489
Ca 0.675 -3.769 -3.477
O 2.392 -5.225 -2.203
La 4.184 -3.596 -2.060
O 4.250 -9.580 -1.845
Cr 6.377 -6.152 -2.359
O 2.225 -7.913 -2.803
```

Entry from the Materials Project database: an optimized crystal structure of Mn2O3 (GGA+U).

Results
Total energy (eV per cell): -302.45

Cell and atoms, written as extended XYZ:
```
40
Lattice="2.187 -6.427 4.823 -4.566 5.371 4.434 -4.468 -2.770 -6.459" Properties=species:S:1:pos:R:3 pbc="T T T"
O -4.822 -2.641 0.103
Mn -2.283 2.685 2.217
O -2.721 0.743 5.580
O -3.153 -5.268 -0.211
Mn 0.010 -5.449 4.376
Mn -4.789 0.943 1.374
O -1.309 -2.262 7.751
O -3.946 -1.987 -2.294
Mn -2.058 -4.770 1.424
O -0.712 -4.122 2.698
O -3.290 -3.602 2.538
O -4.107 3.434 5.384
O -2.102 -2.885 0.184
O -1.120 -4.038 5.300
Mn -2.107 -0.699 6.871
Mn -5.172 -1.037 -1.091
Mn -1.796 -6.936 -0.896
Mn -3.424 -1.913 1.399
O -0.853 -6.152 0.722
O -4.746 -0.942 2.614
O -3.694 1.441 3.009
Mn -3.317 -3.620 -1.266
O -6.135 0.295 0.100
Mn -6.857 1.622 -1.577
O -5.538 -1.565 -4.953
Mn -3.530 -0.207 4.064
O -2.025 -1.185 2.696
O -5.727 0.211 -2.501
O 0.746 -6.843 3.205
O -2.902 -1.840 5.092
Mn 1.093 -3.214 2.412
O -5.994 2.325 2.076
O -3.557 -0.225 0.260
Mn -1.675 -2.790 3.889
O -7.593 3.016 -0.407
O -2.740 -7.261 -2.586
O -4.126 -4.570 -2.782
Mn -4.740 -3.128 -4.073
Mn -5.052 3.109 3.694
Mn -2.234 -1.385 -3.230
```

Entry from the Materials Project database: an optimized crystal structure of Li2Ni3SbO8 (GGA+U).

Results
Distance to the lowest polymorph of the same formula (meV per atom): 16
Total magnetic moment (Bohr magnetons per cell): 0.0

Cell and atoms, written as extended XYZ:
```
28
Lattice="2.870 2.582 4.552 -2.516 0.171 5.415 6.311 -7.749 0.451" Properties=species:S:1:pos:R:3 pbc="T T T"
O 3.915 -3.150 7.178
O 6.134 -5.603 3.258
Sb 1.038 -1.207 3.959
Ni 5.449 -5.166 1.476
O 1.400 -1.814 5.870
O 3.715 -4.586 2.085
O 5.269 -3.183 4.547
O 0.532 0.606 7.159
Ni 1.436 1.291 2.278
Ni 1.214 0.170 8.941
O 2.946 -0.409 8.334
O 2.251 -4.560 5.106
O 1.995 0.579 4.137
O 5.992 -4.396 8.372
Li 3.165 -1.463 6.682
Li 1.781 1.632 5.788
Ni -0.220 -1.123 6.664
O 4.411 -0.439 5.306
Ni 4.370 -3.705 9.166
Li 3.501 -3.533 3.736
O 2.750 -1.847 3.239
Li 4.887 -6.627 4.632
O 0.679 -0.598 2.045
O 7.341 -4.429 5.741
Ni 6.025 -1.293 4.778
O -0.675 -0.566 4.677
O 4.668 -5.574 6.285
Sb 5.629 -3.790 6.460
```

Entry from the Materials Project database: an optimized crystal structure of Sr10Mg5Mo3W2O30 (GGA+U).

Results
Total magnetic moment (Bohr magnetons per cell): 0.0
Total energy (eV per cell): -338.42

Cell and atoms, written as extended XYZ:
```
50
Lattice="0.886 -2.954 -4.746 4.592 3.143 -1.148 8.695 -12.994 13.069" Properties=species:S:1:pos:R:3 pbc="T T T"
Sr 10.302 -7.461 6.520
O 6.301 -2.553 -2.397
O 6.579 -6.804 0.215
O 1.276 -0.069 -1.472
O 5.400 -7.906 7.547
Sr 1.578 -2.759 -1.364
O 8.188 -8.879 7.217
Mo 5.026 -2.486 -0.923
Sr 8.463 -10.524 4.723
O 10.426 -10.390 6.627
O 3.748 -2.415 0.548
O 8.638 -6.198 2.243
O 0.963 -1.444 0.883
Sr 6.153 -7.919 2.686
O 12.171 -11.160 11.008
O 5.536 -6.607 4.931
Mo 0.000 0.000 0.000
O 7.872 -10.253 9.571
Mg 11.887 -10.226 5.151
Sr 12.595 -10.046 8.538
O 10.266 -9.012 9.011
O 2.003 -1.645 -3.833
O 7.595 -6.001 6.959
O 3.607 -3.707 3.161
Sr 5.711 -2.281 2.451
Mg 2.287 -2.579 2.024
O 13.211 -11.361 6.291
O 8.042 -3.323 1.985
Sr 3.445 0.276 0.439
Mo 9.148 -10.320 8.098
O 10.566 -9.098 4.013
O 8.324 -7.577 4.602
O 6.131 -9.482 5.190
O 5.986 -3.926 -0.043
Sr 10.728 -13.081 6.736
O 8.034 -11.631 7.186
O 12.897 -12.736 8.647
O 3.907 -3.793 -1.837
O 10.112 -11.766 8.982
W 9.600 -7.645 3.126
Sr 3.871 -5.344 0.655
O 4.061 -1.039 -1.808
Mg 7.313 -5.066 1.101
W 4.574 -5.160 4.048
O 6.140 -1.174 -0.012
Sr 8.020 -4.886 4.489
O 8.773 -4.899 -0.372
Mg 2.739 0.094 -2.947
Mg 6.860 -7.740 6.073
O 5.850 -5.229 2.572
```

Entry from the Materials Project database: an optimized crystal structure of NiRh2O4 (GGA+U).

Results
Distance to the lowest polymorph of the same formula (meV per atom): 92
Total magnetic moment (Bohr magnetons per cell): 4.0

Cell and atoms, written as extended XYZ:
```
14
Lattice="-2.515 -4.882 2.754 0.807 -3.302 -5.118 4.675 2.898 2.554" Properties=species:S:1:pos:R:3 pbc="T T T"
O 0.986 -4.593 -0.389
Rh -0.854 -4.092 -1.182
O 3.405 -3.105 0.696
Rh 2.741 -0.202 -1.282
Ni 1.406 -2.511 3.686
O -1.573 -4.384 0.737
O 1.980 -0.693 0.579
Ni 1.560 -2.775 -3.495
Rh -1.257 -2.441 1.377
Rh 1.483 -2.643 0.095
O 4.539 -0.902 -0.546
O -0.438 -2.181 -0.506
O 2.344 -2.183 -1.730
O 0.622 -3.103 1.920
```

Entry from the Materials Project database: an optimized crystal structure of P2W2O11 (GGA+U).

Results
Distance to the lowest polymorph of the same formula (meV per atom): 13

Cell and atoms, written as extended XYZ:
```
30
Lattice="-1.016 -2.522 -5.829 7.471 -2.190 -0.355 -1.885 -6.973 3.346" Properties=species:S:1:pos:R:3 pbc="T T T"
O -0.825 -5.534 2.538
P 0.949 -7.313 -0.550
O 0.793 -5.988 0.253
P 5.183 -7.184 2.205
O 5.127 -5.794 1.613
O 0.406 -6.946 -1.963
O 5.229 -7.904 -1.040
O 4.268 -8.195 1.453
W 3.996 -8.920 -0.386
O 3.777 -5.698 -3.091
O 1.659 -6.814 2.659
O 0.932 -1.927 -0.677
O 6.411 -3.630 0.453
W 0.574 -2.766 -2.452
O 4.365 -3.217 -2.918
W 1.116 -5.278 2.089
P 3.620 -4.372 -2.288
O 2.468 -7.647 -0.670
W 4.470 -3.886 0.902
O 0.205 -8.469 0.080
O 2.102 -4.039 -2.167
P 0.403 -1.980 0.786
O 3.638 -9.758 -2.160
O 2.793 -4.582 1.496
O 4.163 -4.739 -0.875
O 0.459 -3.370 1.378
O -0.659 -3.781 -1.798
O -0.508 -1.261 -2.914
O 3.927 -2.350 0.332
O 0.302 -3.491 -4.291
```

Entry from the Materials Project database: an optimized crystal structure of Li9Mn7O16 (GGA+U).

Results
Distance to the lowest polymorph of the same formula (meV per atom): 19
Total magnetic moment (Bohr magnetons per cell): 26.0

Cell and atoms, written as extended XYZ:
```
32
Lattice="9.612 -3.455 2.647 9.798 -3.910 -0.190 7.315 7.791 -0.770" Properties=species:S:1:pos:R:3 pbc="T T T"
O 4.996 3.834 -0.287
O 10.247 -1.529 0.918
O 12.830 -1.944 1.155
O 16.478 1.955 0.768
O 25.228 0.394 1.594
O 10.736 2.765 0.261
Mn 1.788 1.810 -0.173
Li 4.706 1.449 0.076
Mn 13.362 0.213 0.843
O 1.497 0.032 0.093
Li 8.359 5.479 -0.330
O 19.624 1.558 1.039
Li 12.514 -4.080 1.477
O 21.728 -3.408 1.974
O 22.226 1.048 1.292
Mn 7.595 1.080 0.325
O 7.101 -1.132 0.648
Mn 15.495 -4.578 1.753
Li 9.705 -3.683 1.228
O 13.895 2.370 0.532
O 18.600 -2.853 1.679
Li 14.211 4.505 0.210
Li 22.019 -1.023 1.610
O 8.125 3.279 0.007
Mn 11.230 5.004 -0.066
O 15.989 -2.339 1.425
Li 16.253 -0.169 1.095
Mn 24.937 -1.384 1.860
Li 10.471 0.595 0.592
O 4.499 -0.622 0.395
Mn 19.130 -0.654 1.361
Li 18.366 -5.053 2.017
```

Entry from the Materials Project database: an optimized crystal structure of KZrMnBiO6 (GGA+U).

Results
Total magnetic moment (Bohr magnetons per cell): 3.0
Total energy (eV per cell): -69.19

Cell and atoms, written as extended XYZ:
```
10
Lattice="2.002 -2.692 -4.552 -2.237 1.010 -5.094 2.974 2.838 -3.882" Properties=species:S:1:pos:R:3 pbc="T T T"
O -0.513 0.804 -5.892
O 2.207 1.758 -5.259
O 1.039 2.285 -7.918
Bi 0.685 0.289 -3.382
Zr 1.370 0.578 -6.764
K 2.054 0.868 -10.145
Mn 0.000 0.000 0.000
O 1.700 -1.129 -5.609
O 0.532 -0.601 -8.268
O 3.252 0.353 -7.635
```